Li2Mo4O13: relaxed, GGA+U.

Total magnetization in μB per cell: 0.00
E_tot in eV/atom: -6.767
ΔH_f (0 K) in eV per atom: -2.04
Relative energy among the computed polymorphs in meV per atom: 0

a b c (Å): 8.394 8.767 11.863
angles (deg): 110.95 94.45 96.32
Positions (direct):
Li (0.104, 0.487, 0.370)
Li (0.294, 0.024, 0.011)
Li (0.308, 0.463, 0.625)
Li (0.692, 0.537, 0.375)
Li (0.706, 0.976, 0.989)
Li (0.896, 0.513, 0.630)
Mo (0.027, 0.846, 0.365)
Mo (0.028, 0.337, 0.036)
Mo (0.227, 0.823, 0.634)
Mo (0.366, 0.645, 0.965)
Mo (0.379, 0.197, 0.363)
Mo (0.416, 0.828, 0.363)
Mo (0.584, 0.172, 0.637)
Mo (0.621, 0.803, 0.637)
Mo (0.634, 0.355, 0.035)
Mo (0.773, 0.177, 0.366)
Mo (0.972, 0.663, 0.964)
Mo (0.973, 0.154, 0.635)
O (0.019, 0.792, 0.209)
O (0.064, 0.422, 0.195)
O (0.084, 0.645, 0.597)
O (0.087, 0.963, 0.582)
O (0.111, 0.306, 0.619)
O (0.137, 0.172, 0.998)
O (0.152, 0.501, 0.992)
O (0.189, 0.785, 0.994)
O (0.214, 0.736, 0.408)
O (0.241, 0.919, 0.789)
O (0.259, 0.010, 0.389)
O (0.267, 0.361, 0.414)
O (0.341, 0.122, 0.206)
O (0.345, 0.562, 0.807)
O (0.394, 0.736, 0.207)
O (0.403, 0.688, 0.616)
O (0.439, 0.967, 0.601)
O (0.453, 0.282, 0.581)
O (0.493, 0.176, 0.996)
O (0.500, 0.500, 0.000)
O (0.507, 0.824, 0.004)
O (0.547, 0.718, 0.419)
O (0.561, 0.033, 0.399)
O (0.597, 0.312, 0.384)
O (0.606, 0.264, 0.793)
O (0.655, 0.438, 0.193)
O (0.659, 0.878, 0.794)
O (0.733, 0.639, 0.586)
O (0.741, 0.990, 0.611)
O (0.759, 0.081, 0.211)
O (0.786, 0.264, 0.592)
O (0.811, 0.215, 0.006)
O (0.848, 0.499, 0.008)
O (0.863, 0.828, 0.002)
O (0.889, 0.694, 0.381)
O (0.913, 0.037, 0.418)
O (0.916, 0.355, 0.403)
O (0.936, 0.578, 0.805)
O (0.981, 0.208, 0.791)


KRbMn2Ga4P6H8O28: relaxed, GGA+U.

Total magnetization in μB per cell: 10.00
E_tot in eV/atom: -6.448
ΔH_f (0 K) in eV per atom: -2.29

a b c (Å): 8.611 8.611 8.981
angles (deg): 104.56 104.56 73.92
Positions (direct):
K (0.000, 0.000, 0.000)
Rb (0.721, 0.279, 0.500)
Mn (0.078, 0.922, 0.500)
Mn (0.643, 0.357, 0.000)
Ga (0.115, 0.544, 0.679)
Ga (0.264, 0.395, 0.178)
Ga (0.456, 0.885, 0.321)
Ga (0.605, 0.736, 0.822)
P (0.198, 0.223, 0.425)
P (0.360, 0.640, 0.000)
P (0.360, 0.640, 0.500)
P (0.524, 0.056, 0.075)
P (0.777, 0.802, 0.575)
P (0.944, 0.476, 0.925)
H (0.141, 0.173, 0.754)
H (0.282, 0.019, 0.799)
H (0.438, 0.260, 0.701)
H (0.580, 0.106, 0.746)
H (0.740, 0.562, 0.299)
H (0.827, 0.859, 0.246)
H (0.894, 0.420, 0.254)
H (0.981, 0.718, 0.201)
O (0.041, 0.414, 0.789)
O (0.062, 0.140, 0.426)
O (0.063, 0.521, 0.086)
O (0.135, 0.319, 0.289)
O (0.167, 0.052, 0.743)
O (0.195, 0.664, 0.553)
O (0.209, 0.673, 0.866)
O (0.241, 0.343, 0.586)
O (0.327, 0.791, 0.134)
O (0.336, 0.805, 0.447)
O (0.355, 0.178, 0.089)
O (0.367, 0.102, 0.411)
O (0.385, 0.475, 0.053)
O (0.392, 0.489, 0.366)
O (0.479, 0.937, 0.914)
O (0.511, 0.608, 0.634)
O (0.525, 0.615, 0.947)
O (0.553, 0.227, 0.758)
O (0.586, 0.959, 0.211)
O (0.657, 0.759, 0.414)
O (0.660, 0.137, 0.073)
O (0.681, 0.865, 0.711)
O (0.773, 0.447, 0.242)
O (0.822, 0.645, 0.911)
O (0.860, 0.938, 0.574)
O (0.863, 0.340, 0.927)
O (0.898, 0.633, 0.589)
O (0.948, 0.833, 0.257)


Li6WO6: relaxed, GGA+U.

E_tot in eV/atom: -5.767
ΔH_f (0 K) in eV per atom: -2.26

a b c (Å): 5.695 5.695 5.695
angles (deg): 61.17 61.17 61.17
Positions (direct):
Li (0.012, 0.583, 0.220)
Li (0.220, 0.012, 0.583)
Li (0.417, 0.780, 0.988)
Li (0.583, 0.220, 0.012)
Li (0.780, 0.988, 0.417)
Li (0.988, 0.417, 0.780)
W (0.500, 0.500, 0.500)
O (0.149, 0.703, 0.403)
O (0.297, 0.597, 0.851)
O (0.403, 0.149, 0.703)
O (0.597, 0.851, 0.297)
O (0.703, 0.403, 0.149)
O (0.851, 0.297, 0.597)